Entry 1:
Density functional theory data (PBE+U) for a relaxed MgCrCo3O8 crystal.

a = 5.799 Å, b = 5.795 Å, c = 5.859 Å
α = 60.27°, β = 60.31°, γ = 59.52°
Element x y z (fractional)
Co  0.500  0.500  0.000
O  0.255  0.256  0.714
Co  0.000  0.500  0.500
O  0.291  0.751  0.744
Co  0.500  0.000  0.500
Cr  0.500  0.500  0.500
O  0.245  0.244  0.302
O  0.755  0.756  0.698
O  0.751  0.290  0.743
O  0.249  0.710  0.257
O  0.745  0.744  0.286
O  0.709  0.249  0.256
Mg  0.000  0.000  0.000

Summary:
E_form: -1.622 eV per atom
Space-group type: C2/m

Entry 2:
Density functional theory data (PBE+U) for a relaxed NdEuFe4O12 crystal.

a = 5.215 Å, b = 5.215 Å, c = 7.372 Å
α = 90.00°, β = 90.00°, γ = 90.00°
Element x y z (fractional)
O  0.249  0.249  0.750
O  0.249  0.751  0.750
Fe  0.000  0.500  0.249
O  0.249  0.249  0.250
O  0.751  0.249  0.750
Fe  0.500  0.000  0.751
O  0.751  0.751  0.750
Fe  0.500  0.000  0.249
O  0.751  0.751  0.250
O  0.000  0.500  0.000
O  0.751  0.249  0.250
O  0.000  0.500  0.500
O  0.500  0.000  0.000
O  0.249  0.751  0.250
Nd  0.000  0.000  0.500
Fe  0.000  0.500  0.751
O  0.500  0.000  0.500
Eu  0.500  0.500  0.000

Summary:
E_form: -1.659 eV per atom
Space-group type: P4/mmm

Entry 3:
Density functional theory data (PBE+U) for a relaxed La3SmV2Cr2O10 crystal.

a = 10.963 Å, b = 11.231 Å, c = 17.921 Å
α = 108.36°, β = 107.93°, γ = 89.94°
Element x y z (fractional)
La  0.560  0.315  0.124
Cr  0.003  0.999  0.001
O  0.819  0.262  0.122
O  0.888  0.390  0.526
O  0.641  0.388  0.030
La  0.690  0.940  0.378
La  0.188  0.940  0.376
Sm  0.304  0.558  0.122
O  0.193  0.956  0.245
O  0.107  0.615  0.969
O  0.953  0.891  0.879
Cr  0.251  0.751  0.001
Sm  0.301  0.058  0.123
La  0.435  0.683  0.876
O  0.064  0.604  0.623
O  0.202  0.463  0.252
Cr  0.502  0.000  0.001
O  0.698  0.236  0.879
O  0.362  0.110  0.473
La  0.936  0.185  0.375
Cr  0.002  0.000  0.500
O  0.567  0.602  0.623
O  0.888  0.398  0.032
V  0.616  0.634  0.249
O  0.079  0.107  0.122
O  0.707  0.734  0.878
O  0.943  0.397  0.377
O  0.701  0.463  0.251
La  0.560  0.316  0.624
La  0.436  0.185  0.876
Cr  0.753  0.251  0.001
O  0.581  0.606  0.122
O  0.114  0.108  0.970
V  0.870  0.865  0.752
O  0.692  0.229  0.377
V  0.867  0.366  0.249
O  0.387  0.897  0.032
Cr  0.754  0.749  0.000
O  0.564  0.104  0.622
O  0.945  0.537  0.243
O  0.942  0.897  0.376
O  0.943  0.393  0.879
O  0.864  0.113  0.475
Cr  0.751  0.750  0.500
O  0.443  0.896  0.377
Cr  0.751  0.251  0.500
O  0.198  0.737  0.879
O  0.888  0.889  0.525
O  0.200  0.463  0.750
O  0.943  0.039  0.244
O  0.318  0.261  0.122
V  0.368  0.367  0.751
V  0.867  0.866  0.248
O  0.140  0.887  0.033
La  0.436  0.684  0.375
La  0.687  0.941  0.877
V  0.116  0.635  0.248
O  0.863  0.612  0.473
Cr  0.501  0.000  0.499
O  0.451  0.037  0.750
O  0.861  0.608  0.969
La  0.814  0.560  0.624
La  0.190  0.439  0.378
O  0.580  0.103  0.123
O  0.817  0.272  0.623
La  0.062  0.312  0.621
O  0.640  0.388  0.527
O  0.443  0.037  0.244
O  0.692  0.729  0.377
V  0.365  0.864  0.248
Sm  0.934  0.686  0.878
V  0.119  0.133  0.751
O  0.363  0.611  0.974
O  0.445  0.537  0.243
Sm  0.804  0.058  0.121
La  0.937  0.685  0.375
V  0.117  0.636  0.751
O  0.364  0.612  0.474
La  0.937  0.183  0.876
La  0.313  0.059  0.622
O  0.453  0.397  0.878
O  0.640  0.888  0.526
O  0.192  0.227  0.376
O  0.202  0.962  0.757
O  0.079  0.609  0.122
Cr  0.502  0.500  0.500
O  0.140  0.389  0.029
O  0.113  0.113  0.474
O  0.067  0.101  0.623
Cr  0.001  0.501  0.500
La  0.557  0.817  0.124
La  0.061  0.816  0.625
O  0.444  0.894  0.879
V  0.619  0.135  0.751
O  0.444  0.398  0.377
O  0.389  0.395  0.031
O  0.318  0.761  0.122
O  0.703  0.962  0.750
Sm  0.804  0.559  0.122
O  0.892  0.895  0.033
Cr  0.001  0.502  0.000
O  0.317  0.770  0.622
O  0.951  0.543  0.756
V  0.615  0.134  0.249
O  0.613  0.614  0.474
O  0.450  0.538  0.749
O  0.113  0.612  0.473
O  0.317  0.270  0.622
V  0.114  0.132  0.248
Cr  0.251  0.750  0.500
O  0.615  0.610  0.970
V  0.620  0.633  0.752
O  0.700  0.962  0.251
Cr  0.252  0.250  0.000
O  0.612  0.112  0.972
V  0.367  0.865  0.751
V  0.866  0.367  0.752
O  0.196  0.235  0.879
Cr  0.251  0.249  0.499
Sm  0.689  0.441  0.880
La  0.561  0.813  0.622
O  0.192  0.730  0.377
O  0.613  0.113  0.474
O  0.139  0.387  0.525
Sm  0.189  0.941  0.880
La  0.310  0.560  0.623
O  0.139  0.887  0.526
La  0.811  0.060  0.623
O  0.828  0.761  0.121
La  0.690  0.441  0.378
O  0.699  0.460  0.756
La  0.059  0.317  0.125
La  0.438  0.186  0.376
O  0.951  0.036  0.748
O  0.388  0.388  0.524
Cr  0.503  0.501  0.001
La  0.183  0.443  0.876
Sm  0.057  0.814  0.122
O  0.864  0.110  0.973
O  0.389  0.888  0.525
V  0.368  0.366  0.248
O  0.641  0.886  0.028
O  0.361  0.108  0.971
O  0.817  0.770  0.623

Summary:
E_form: -2.868 eV per atom
Space-group type: P1